[1]
Ba2P6O17 after structural relaxation, computed with PBE.

abc: 6.1692 19.1323 8.1545
angles: 90.00 110.45 90.00
With the nearest neighbours (Å) after each atom.
Fractional positions:
1 Ba 0.0989 0.0775 0.3499  6 O 2.59-2.86
2 Ba 0.0989 0.4225 0.8499  6 O 2.59-2.86
3 Ba 0.9011 0.5775 0.1501  6 O 2.59-2.86
4 Ba 0.9011 0.9225 0.6501  6 O 2.59-2.86
5 P 0.2795 0.6714 0.5899  4 O 1.48-1.60
6 P 0.2795 0.8286 0.0899  4 O 1.48-1.60
7 P 0.2967 0.6846 0.9697  4 O 1.49-1.65
8 P 0.2967 0.8154 0.4697  4 O 1.49-1.65
9 P 0.5000 0.0338 0.8203  4 O 1.49-1.66
10 P 0.5000 0.4662 0.3203  4 O 1.49-1.66
11 P 0.5000 0.5338 0.6797  4 O 1.49-1.66
12 P 0.5000 0.9662 0.1797  4 O 1.49-1.66
13 P 0.7033 0.1846 0.5303  4 O 1.49-1.65
14 P 0.7033 0.3154 0.0303  4 O 1.49-1.65
15 P 0.7205 0.1714 0.9101  4 O 1.48-1.60
16 P 0.7205 0.3286 0.4101  4 O 1.48-1.60
17 O 0.0693 0.6452 0.4507  1 P 1.48
18 O 0.0693 0.8548 0.9507  1 P 1.48
19 O 0.0787 0.6734 0.0049  1 P 1.49
20 O 0.0787 0.8266 0.5049  1 P 1.49
21 O 0.2283 0.6949 0.7580  2 P 1.58-1.64
22 O 0.2283 0.8051 0.2580  2 P 1.58-1.64
23 O 0.2679 0.0192 0.6828  1 P 1.50
24 O 0.2679 0.4808 0.1828  1 P 1.50
25 O 0.2792 0.5155 0.7053  1 P 1.49
26 O 0.2792 0.9845 0.2053  1 P 1.49
27 O 0.3986 0.7369 0.5370  2 P 1.59-1.65
28 O 0.3986 0.7631 0.0370  2 P 1.59-1.65
29 O 0.4948 0.6190 0.6425  2 P 1.60-1.66
30 O 0.4948 0.8810 0.1425  2 P 1.60-1.66
31 O 0.4965 0.6357 0.0361  1 P 1.49
32 O 0.4965 0.8643 0.5361  1 P 1.49
33 O 0.5000 0.0000 0.0000  2 P 1.60
34 O 0.5000 0.5000 0.5000  2 P 1.60
35 O 0.5035 0.1357 0.4639  1 P 1.49
36 O 0.5035 0.3643 0.9639  1 P 1.49
37 O 0.5052 0.1190 0.8575  2 P 1.60-1.66
38 O 0.5052 0.3810 0.3575  2 P 1.60-1.66
39 O 0.6014 0.2369 0.9630  2 P 1.59-1.65
40 O 0.6014 0.2631 0.4630  2 P 1.59-1.65
41 O 0.7208 0.0155 0.7947  1 P 1.49
42 O 0.7208 0.4845 0.2947  1 P 1.49
43 O 0.7321 0.5192 0.8172  1 P 1.50
44 O 0.7321 0.9808 0.3172  1 P 1.50
45 O 0.7717 0.1949 0.7420  2 P 1.58-1.64
46 O 0.7717 0.3051 0.2420  2 P 1.58-1.64
47 O 0.9213 0.1734 0.4951  1 P 1.49
48 O 0.9213 0.3266 0.9951  1 P 1.49
49 O 0.9307 0.1452 0.0493  1 P 1.48
50 O 0.9307 0.3548 0.5493  1 P 1.48

Properties
magnetic moment: 0.0 μB/f.u.
DFT formation energy: -2.833 eV/atom

[2]
Ba2P2O7 after structural relaxation, computed with PBE.

abc: 9.4227 5.6958 14.0282
angles: 90.00 90.00 90.00
With the nearest neighbours (Å) after each atom.
Fractional positions:
1 Ba 0.1398 0.2500 0.0827  5 O 2.62-2.85
2 Ba 0.1589 0.2500 0.7555  9 O 2.80-3.14
3 Ba 0.3411 0.7500 0.2555  9 O 2.80-3.14
4 Ba 0.3602 0.7500 0.5827  5 O 2.62-2.85
5 Ba 0.6398 0.2500 0.4173  5 O 2.62-2.85
6 Ba 0.6589 0.2500 0.7445  9 O 2.80-3.14
7 Ba 0.8411 0.7500 0.2445  9 O 2.80-3.14
8 Ba 0.8602 0.7500 0.9173  5 O 2.62-2.85
9 P 0.0473 0.2500 0.3148  4 O 1.53-1.63
10 P 0.2181 0.7500 0.9574  4 O 1.54-1.62
11 P 0.2819 0.2500 0.4574  4 O 1.54-1.62
12 P 0.4527 0.7500 0.8148  4 O 1.53-1.63
13 P 0.5473 0.2500 0.1852  4 O 1.53-1.63
14 P 0.7181 0.7500 0.5426  4 O 1.54-1.62
15 P 0.7819 0.2500 0.0426  4 O 1.54-1.62
16 P 0.9527 0.7500 0.6852  4 O 1.53-1.63
17 O 0.0957 0.0266 0.2622  1 P 1.54
18 O 0.0957 0.4734 0.2622  1 P 1.54
19 O 0.1125 0.7500 0.6673  1 P 1.53
20 O 0.1187 0.2500 0.4208  2 P 1.62-1.63
21 O 0.1435 0.5274 0.9200  1 P 1.54
22 O 0.1435 0.9726 0.9200  1 P 1.54
23 O 0.2277 0.7500 0.0667  1 P 1.54
24 O 0.2723 0.2500 0.5667  1 P 1.54
25 O 0.3565 0.0274 0.4200  1 P 1.54
26 O 0.3565 0.4726 0.4200  1 P 1.54
27 O 0.3813 0.7500 0.9208  2 P 1.62-1.63
28 O 0.3875 0.2500 0.1673  1 P 1.53
29 O 0.4043 0.5266 0.7622  1 P 1.54
30 O 0.4043 0.9734 0.7622  1 P 1.54
31 O 0.5957 0.0266 0.2378  1 P 1.54
32 O 0.5957 0.4734 0.2378  1 P 1.54
33 O 0.6125 0.7500 0.8327  1 P 1.53
34 O 0.6187 0.2500 0.0792  2 P 1.62-1.63
35 O 0.6435 0.5274 0.5800  1 P 1.54
36 O 0.6435 0.9726 0.5800  1 P 1.54
37 O 0.7277 0.7500 0.4333  1 P 1.54
38 O 0.7723 0.2500 0.9333  1 P 1.54
39 O 0.8565 0.0274 0.0800  1 P 1.54
40 O 0.8565 0.4726 0.0800  1 P 1.54
41 O 0.8813 0.7500 0.5792  2 P 1.62-1.63
42 O 0.8875 0.2500 0.3327  1 P 1.53
43 O 0.9043 0.5266 0.7378  1 P 1.54
44 O 0.9043 0.9734 0.7378  1 P 1.54

Properties
magnetic moment: 0.0 μB/f.u.
DFT formation energy: -3.224 eV/atom

[3]
BaP4O11 after structural relaxation, computed with PBE.

abc: 6.3510 23.4240 8.1542
angles: 90.00 106.79 90.00
With the nearest neighbours (Å) after each atom.
Fractional positions:
1 Ba 0.0073 0.1135 0.3703  6 O 2.63-2.76
2 Ba 0.0073 0.3865 0.8703  6 O 2.63-2.76
3 Ba 0.9927 0.6135 0.1297  6 O 2.63-2.76
4 Ba 0.9927 0.8865 0.6297  6 O 2.63-2.76
5 P 0.3442 0.0738 0.8442  4 O 1.47-1.60
6 P 0.3442 0.4262 0.3442  4 O 1.47-1.60
7 P 0.3592 0.6803 0.5674  4 O 1.47-1.60
8 P 0.3592 0.8197 0.0674  4 O 1.47-1.60
9 P 0.4101 0.7027 0.9508  4 O 1.48-1.65
10 P 0.4101 0.7973 0.4508  4 O 1.48-1.65
11 P 0.4160 0.0294 0.1999  3 O 1.48-1.66
12 P 0.4160 0.4706 0.6999  3 O 1.48-1.66
13 P 0.5840 0.5294 0.3001  3 O 1.48-1.66
14 P 0.5840 0.9706 0.8001  3 O 1.48-1.66
15 P 0.5899 0.2027 0.5492  4 O 1.48-1.65
16 P 0.5899 0.2973 0.0492  4 O 1.48-1.65
17 P 0.6408 0.1803 0.9326  4 O 1.47-1.60
18 P 0.6408 0.3197 0.4326  4 O 1.47-1.60
19 P 0.6558 0.5738 0.6558  4 O 1.47-1.60
20 P 0.6558 0.9262 0.1558  4 O 1.47-1.60
21 O 0.1512 0.0751 0.6914  1 P 1.47
22 O 0.1512 0.4249 0.1914  1 P 1.47
23 O 0.1522 0.6564 0.4572  1 P 1.47
24 O 0.1522 0.8436 0.9572  1 P 1.47
25 O 0.2122 0.6903 0.0072  1 P 1.49
26 O 0.2122 0.8097 0.5072  1 P 1.49
27 O 0.2576 0.0329 0.3020  1 P 1.48
28 O 0.2576 0.4671 0.8020  1 P 1.48
29 O 0.2775 0.0505 0.0039  2 P 1.58-1.66
30 O 0.2775 0.4495 0.5039  2 P 1.58-1.66
31 O 0.3342 0.7046 0.7400  2 P 1.57-1.65
32 O 0.3342 0.7954 0.2400  2 P 1.57-1.65
33 O 0.3642 0.5570 0.2547  1 P 1.49
34 O 0.3642 0.9430 0.7547  1 P 1.49
35 O 0.3806 0.1705 0.4901  1 P 1.48
36 O 0.3806 0.3295 0.9901  1 P 1.48
37 O 0.4372 0.1369 0.8896  2 P 1.60
38 O 0.4372 0.3631 0.3896  2 P 1.60
39 O 0.4441 0.5397 0.6660  2 P 1.59-1.66
40 O 0.4441 0.9603 0.1660  2 P 1.59-1.66
41 O 0.4710 0.7291 0.4866  2 P 1.59-1.65
42 O 0.4710 0.7709 0.9866  2 P 1.59-1.65
43 O 0.5290 0.2291 0.0134  2 P 1.59-1.65
44 O 0.5290 0.2709 0.5134  2 P 1.59-1.65
45 O 0.5559 0.0397 0.8340  2 P 1.59-1.66
46 O 0.5559 0.4603 0.3340  2 P 1.59-1.66
47 O 0.5628 0.6369 0.6104  2 P 1.60
48 O 0.5628 0.8631 0.1104  2 P 1.60
49 O 0.6194 0.6705 0.0099  1 P 1.48
50 O 0.6194 0.8295 0.5099  1 P 1.48
51 O 0.6358 0.0570 0.2453  1 P 1.49
52 O 0.6358 0.4430 0.7453  1 P 1.49
53 O 0.6658 0.2046 0.7600  2 P 1.57-1.65
54 O 0.6658 0.2954 0.2600  2 P 1.57-1.65
55 O 0.7225 0.5505 0.4961  2 P 1.58-1.66
56 O 0.7225 0.9495 0.9961  2 P 1.58-1.66
57 O 0.7424 0.5329 0.1980  1 P 1.48
58 O 0.7424 0.9671 0.6980  1 P 1.48
59 O 0.7877 0.1903 0.4928  1 P 1.49
60 O 0.7877 0.3097 0.9928  1 P 1.49
61 O 0.8478 0.1564 0.0428  1 P 1.47
62 O 0.8478 0.3436 0.5428  1 P 1.47
63 O 0.8488 0.5751 0.8086  1 P 1.47
64 O 0.8488 0.9249 0.3086  1 P 1.47

Properties
magnetic moment: 0.0 μB/f.u.
DFT formation energy: -2.763 eV/atom